(1)
The following is a DFT calculation (GGA+U) of a geometry-optimized Li5Mn8B8O24 structure.

a b c (Å): 5.2674 9.1469 11.4648
angles (deg): 67.98 77.34 89.83
Atoms (fractional coordinates):
Li (0.0000, 0.0000, 0.0000)
Li (0.0141, 0.0404, 0.2550)
Li (0.2342, 0.2919, 0.4803)
Li (0.5137, 0.5298, 0.9677)
Li (0.7118, 0.7681, 0.4968)
Mn (0.2115, 0.9350, 0.5240)
Mn (0.2200, 0.6225, 0.7677)
Mn (0.4742, 0.8349, 0.0313)
Mn (0.4967, 0.2244, 0.2648)
Mn (0.7078, 0.4033, 0.5271)
Mn (0.7776, 0.1107, 0.7723)
Mn (0.9769, 0.3262, 0.0152)
Mn (0.9956, 0.6841, 0.2764)
B (0.2031, 0.5807, 0.5297)
B (0.2788, 0.9353, 0.7956)
B (0.4591, 0.1561, 0.0342)
B (0.5008, 0.8796, 0.2737)
B (0.7148, 0.0892, 0.5165)
B (0.7508, 0.4509, 0.7659)
B (0.9701, 0.6636, 0.0161)
B (0.9792, 0.3624, 0.2880)
O (0.0862, 0.7571, 0.0665)
O (0.1191, 0.0420, 0.8179)
O (0.1335, 0.5707, 0.9608)
O (0.1943, 0.1295, 0.0522)
O (0.2281, 0.3700, 0.2991)
O (0.2286, 0.8507, 0.7234)
O (0.2960, 0.6902, 0.5747)
O (0.3447, 0.4589, 0.5237)
O (0.3452, 0.9836, 0.3143)
O (0.3885, 0.7916, 0.2169)
O (0.4776, 0.1299, 0.4854)
O (0.5059, 0.9071, 0.8443)
O (0.5638, 0.2815, 0.0550)
O (0.5905, 0.5587, 0.7853)
O (0.6325, 0.0551, 0.9970)
O (0.6875, 0.3457, 0.7108)
O (0.7106, 0.6585, 0.0234)
O (0.7488, 0.8605, 0.2927)
O (0.7997, 0.4525, 0.3393)
O (0.8309, 0.9597, 0.5079)
O (0.8461, 0.1892, 0.5589)
O (0.8961, 0.2717, 0.2271)
O (0.9690, 0.6048, 0.4890)
O (0.9887, 0.4318, 0.8055)

Results
formation enthalpy at 0 K: -2443 meV/atom
polymorph energy (0 for the lowest one): 3 meV/atom
magnetization: 37.001 μB/f.u.
E (MP2020): -364.97 eV/f.u.
space group: P1 (1)

(2)
The following is a DFT calculation (GGA+U) of a geometry-optimized K2Co3H6S3O16 structure.

a b c (Å): 9.7742 9.7742 9.9140
angles (deg): 90.00 90.00 46.40
Atoms (fractional coordinates):
K (0.1506, 0.2349, 0.0000)
K (0.2349, 0.1506, 0.5000)
K (0.7651, 0.8494, 0.0000)
K (0.8494, 0.7651, 0.5000)
Co (0.1981, 0.8019, 0.2406)
Co (0.3812, 0.4479, 0.9555)
Co (0.4479, 0.3812, 0.4555)
Co (0.5521, 0.6188, 0.9555)
Co (0.6188, 0.5521, 0.4555)
Co (0.8019, 0.1981, 0.7406)
H (0.0950, 0.7361, 0.7942)
H (0.0993, 0.5708, 0.7908)
H (0.2032, 0.7968, 0.9928)
H (0.2639, 0.9050, 0.7942)
H (0.4292, 0.9007, 0.7908)
H (0.4757, 0.5243, 0.7410)
H (0.5243, 0.4757, 0.2410)
H (0.5708, 0.0993, 0.2908)
H (0.7361, 0.0950, 0.2942)
H (0.7968, 0.2032, 0.4928)
H (0.9007, 0.4292, 0.2908)
H (0.9050, 0.2639, 0.2942)
S (0.1313, 0.5190, 0.2261)
S (0.1834, 0.8166, 0.5600)
S (0.4810, 0.8687, 0.2261)
S (0.5190, 0.1313, 0.7261)
S (0.8166, 0.1834, 0.0600)
S (0.8687, 0.4810, 0.7261)
O (0.0248, 0.4719, 0.7047)
O (0.0487, 0.7178, 0.2332)
O (0.0639, 0.9361, 0.4414)
O (0.0801, 0.9199, 0.6886)
O (0.1157, 0.6402, 0.8508)
O (0.2256, 0.6383, 0.5599)
O (0.2276, 0.4207, 0.3568)
O (0.2660, 0.4150, 0.1118)
O (0.2822, 0.9513, 0.2332)
O (0.3133, 0.6867, 0.0424)
O (0.3598, 0.8843, 0.8508)
O (0.3617, 0.7744, 0.5599)
O (0.4150, 0.2660, 0.6118)
O (0.4207, 0.2276, 0.8568)
O (0.4509, 0.5491, 0.3212)
O (0.4719, 0.0248, 0.2047)
O (0.5281, 0.9752, 0.7047)
O (0.5491, 0.4509, 0.8212)
O (0.5793, 0.7724, 0.3568)
O (0.5850, 0.7340, 0.1118)
O (0.6383, 0.2256, 0.0599)
O (0.6402, 0.1157, 0.3508)
O (0.6867, 0.3133, 0.5424)
O (0.7178, 0.0487, 0.7332)
O (0.7340, 0.5850, 0.6118)
O (0.7724, 0.5793, 0.8568)
O (0.7744, 0.3617, 0.0599)
O (0.8843, 0.3598, 0.3508)
O (0.9199, 0.0801, 0.1886)
O (0.9361, 0.0639, 0.9414)
O (0.9513, 0.2822, 0.7332)
O (0.9752, 0.5281, 0.2047)

Results
formation enthalpy at 0 K: -1699 meV/atom
magnetization: 9.000 μB/f.u.
E (MP2020): -186.46 eV/f.u.
space group: Cmc2_1 (36)

(3)
The following is a DFT calculation (GGA+U) of a geometry-optimized Rb3FeO3 structure.

a b c (Å): 6.9822 10.4358 8.9782
angles (deg): 98.46 69.18 101.42
Atoms (fractional coordinates):
Rb (0.8917, 0.3694, 0.3694)
Rb (0.3917, 0.8694, 0.8694)
Rb (0.1083, 0.6306, 0.6306)
Rb (0.6083, 0.1306, 0.1306)
Rb (0.5392, 0.1536, 0.6536)
Rb (0.0392, 0.6536, 0.1536)
Rb (0.4608, 0.8464, 0.3464)
Rb (0.9608, 0.3464, 0.8464)
Rb (0.1403, 0.1403, 0.4866)
Rb (0.6403, 0.6403, 0.9866)
Rb (0.8597, 0.8597, 0.5134)
Rb (0.3597, 0.3597, 0.0134)
Fe (0.4914, 0.4913, 0.3454)
Fe (0.0086, 0.0087, 0.1546)
Fe (0.9914, 0.9913, 0.8454)
Fe (0.5086, 0.5087, 0.6546)
O (0.3764, 0.3764, 0.5248)
O (0.8764, 0.8764, 0.0248)
O (0.6236, 0.6236, 0.4752)
O (0.1236, 0.1236, 0.9752)
O (0.2077, 0.9441, 0.2086)
O (0.7076, 0.4441, 0.7086)
O (0.7923, 0.0559, 0.7914)
O (0.2923, 0.5559, 0.2914)
O (0.8123, 0.0759, 0.3404)
O (0.3123, 0.5759, 0.8404)
O (0.1877, 0.9241, 0.6596)
O (0.6877, 0.4241, 0.1596)

Results
formation enthalpy at 0 K: -1587 meV/atom
polymorph energy (0 for the lowest one): 0 meV/atom
E (MP2020): -37.37 eV/f.u.

(4)
The following is a DFT calculation (GGA+U) of a geometry-optimized KVPO4F structure.

a b c (Å): 13.0412 6.4982 10.8380
angles (deg): 90.00 90.00 90.00
Atoms (fractional coordinates):
K (0.1033, 0.2015, 0.0000)
K (0.1216, 0.7756, 0.7409)
K (0.3784, 0.2756, 0.2409)
K (0.3967, 0.7015, 0.5000)
K (0.6033, 0.2985, 0.0000)
K (0.6216, 0.7244, 0.7409)
K (0.8784, 0.2244, 0.2409)
K (0.8967, 0.7985, 0.5000)
V (0.1155, 0.4947, 0.4431)
V (0.2467, 0.7495, 0.1921)
V (0.2533, 0.2495, 0.6921)
V (0.3845, 0.9947, 0.9431)
V (0.6155, 0.0053, 0.4431)
V (0.7467, 0.7505, 0.1921)
V (0.7533, 0.2505, 0.6921)
V (0.8845, 0.5053, 0.9431)
P (0.0012, 0.3339, 0.6942)
P (0.1804, 0.9976, 0.4442)
P (0.3196, 0.4976, 0.9442)
P (0.4988, 0.8339, 0.1942)
P (0.5012, 0.1661, 0.6942)
P (0.6804, 0.5024, 0.4442)
P (0.8196, 0.0024, 0.9442)
P (0.9988, 0.6661, 0.1942)
O (0.0102, 0.5272, 0.3106)
O (0.0163, 0.4854, 0.5840)
O (0.0941, 0.8021, 0.1717)
O (0.0976, 0.1967, 0.7128)
O (0.1112, 0.8084, 0.4703)
O (0.1122, 0.1863, 0.4182)
O (0.2467, 0.4538, 0.8328)
O (0.2491, 0.5334, 0.0593)
O (0.2509, 0.0334, 0.5593)
O (0.2533, 0.9538, 0.3328)
O (0.3878, 0.6863, 0.9182)
O (0.3888, 0.3084, 0.9703)
O (0.4024, 0.6967, 0.2128)
O (0.4059, 0.3021, 0.6717)
O (0.4837, 0.9854, 0.0840)
O (0.4898, 0.0272, 0.8106)
O (0.5102, 0.9728, 0.3106)
O (0.5163, 0.0146, 0.5840)
O (0.5941, 0.6979, 0.1717)
O (0.5976, 0.3033, 0.7128)
O (0.6112, 0.6916, 0.4703)
O (0.6122, 0.3137, 0.4182)
O (0.7467, 0.0462, 0.8328)
O (0.7491, 0.9666, 0.0593)
O (0.7509, 0.4666, 0.5593)
O (0.7533, 0.5462, 0.3328)
O (0.8878, 0.8137, 0.9182)
O (0.8888, 0.1916, 0.9703)
O (0.9024, 0.8033, 0.2128)
O (0.9059, 0.1979, 0.6717)
O (0.9837, 0.5146, 0.0840)
O (0.9898, 0.4728, 0.8106)
F (0.2303, 0.4800, 0.5699)
F (0.2310, 0.5236, 0.3210)
F (0.2690, 0.0236, 0.8210)
F (0.2697, 0.9800, 0.0699)
F (0.7303, 0.0200, 0.5699)
F (0.7310, 0.9764, 0.3210)
F (0.7690, 0.4764, 0.8210)
F (0.7697, 0.5200, 0.0699)

Results
formation enthalpy at 0 K: -2850 meV/atom
magnetization: 0.000 μB/f.u.
E (MP2020): -60.12 eV/f.u.
space group: Pna2_1 (33)